This record from Materials Project describes a relaxed structure of MnSiO3. The functional is PBE with a Hubbard U. Values from VASP.

Cell and atoms, written as Quantum ESPRESSO input:
```
&SYSTEM
  ibrav = 0, nat = 50, ntyp = 3
/
ATOMIC_SPECIES
Mn 54.94 Mn.upf
Si 28.09 Si.upf
O 16.00 O.upf
CELL_PARAMETERS angstrom
6.564 0.000 0.000
-1.353 8.532 0.000
-2.080 -3.945 12.177
ATOMIC_POSITIONS crystal
Mn 0.000 0.000 0.000
Mn 0.081 0.111 0.260
Mn 0.214 0.788 0.112
Mn 0.263 0.479 0.647
Mn 0.384 0.144 0.566
Mn 0.500 0.000 0.000
Mn 0.616 0.856 0.434
Mn 0.737 0.521 0.353
Mn 0.786 0.212 0.888
Mn 0.919 0.889 0.740
Si 0.129 0.768 0.499
Si 0.199 0.191 0.814
Si 0.247 0.532 0.392
Si 0.248 0.403 0.054
Si 0.392 0.594 0.899
Si 0.608 0.406 0.101
Si 0.752 0.597 0.946
Si 0.753 0.468 0.608
Si 0.801 0.809 0.186
Si 0.871 0.232 0.501
O 0.062 0.240 0.029
O 0.062 0.851 0.229
O 0.067 0.647 0.366
O 0.069 0.169 0.459
O 0.178 0.568 0.116
O 0.195 0.347 0.320
O 0.221 0.604 0.529
O 0.227 0.037 0.865
O 0.250 0.012 0.106
O 0.265 0.397 0.913
O 0.281 0.626 0.792
O 0.324 0.207 0.719
O 0.347 0.904 0.517
O 0.388 0.747 0.007
O 0.489 0.620 0.398
O 0.511 0.380 0.602
O 0.612 0.253 0.993
O 0.653 0.096 0.483
O 0.676 0.793 0.281
O 0.719 0.374 0.208
O 0.735 0.603 0.087
O 0.750 0.988 0.894
O 0.773 0.963 0.135
O 0.779 0.396 0.471
O 0.805 0.653 0.680
O 0.822 0.432 0.884
O 0.931 0.831 0.541
O 0.933 0.353 0.634
O 0.938 0.149 0.771
O 0.938 0.760 0.971
```

Results
Energy (eV per atom): -7.567
ρ (g/cm³): 3.2
Energy of formation from the pure elements (meV/atom): -2426
Symmetry: No. 2

***

This record from Materials Project describes a relaxed structure of Mg3Fe3O8. The functional is PBE with a Hubbard U. Values from VASP.

Cell and atoms, written as Quantum ESPRESSO input:
```
&SYSTEM
  ibrav = 0, nat = 14, ntyp = 3
/
ATOMIC_SPECIES
Mg 24.30 Mg.upf
Fe 55.84 Fe.upf
O 16.00 O.upf
CELL_PARAMETERS angstrom
2.995 1.729 4.915
-2.995 1.729 4.915
0.000 -3.458 4.915
ATOMIC_POSITIONS crystal
Mg 0.000 0.500 0.500
Mg 0.500 0.000 0.500
Mg 0.500 0.500 0.000
Fe 0.132 0.132 0.132
Fe 0.500 0.500 0.500
Fe 0.868 0.868 0.868
O 0.258 0.258 0.258
O 0.262 0.262 0.733
O 0.262 0.733 0.262
O 0.267 0.738 0.738
O 0.733 0.262 0.262
O 0.738 0.267 0.738
O 0.738 0.738 0.267
O 0.742 0.742 0.742
```

Results
Energy (eV per atom): -6.296
ρ (g/cm³): 4.0
Energy of formation from the pure elements (meV/atom): -2186
Symmetry: No. 166

***

This record from Materials Project describes a relaxed structure of Dy2MnCoO6. The functional is PBE with a Hubbard U. Values from VASP.

Cell and atoms, written as Quantum ESPRESSO input:
```
&SYSTEM
  ibrav = 0, nat = 20, ntyp = 4
/
ATOMIC_SPECIES
Dy 162.50 Dy.upf
Mn 54.94 Mn.upf
Co 58.93 Co.upf
O 16.00 O.upf
CELL_PARAMETERS angstrom
3.777 0.000 0.000
0.000 5.742 0.000
-1.866 0.000 12.119
ATOMIC_POSITIONS crystal
Dy 0.159 0.140 0.240
Dy 0.159 0.360 0.740
Dy 0.841 0.640 0.260
Dy 0.841 0.860 0.760
Mn 0.500 0.000 0.500
Mn 0.500 0.500 0.000
Co 0.000 0.000 0.000
Co 0.000 0.500 0.500
O 0.185 0.241 0.919
O 0.185 0.259 0.419
O 0.205 0.737 0.425
O 0.205 0.763 0.925
O 0.344 0.020 0.717
O 0.344 0.480 0.217
O 0.656 0.520 0.783
O 0.656 0.980 0.283
O 0.795 0.237 0.075
O 0.795 0.263 0.575
O 0.815 0.741 0.581
O 0.815 0.759 0.081
```

Results
Energy (eV per atom): -7.207
ρ (g/cm³): 6.8
Energy of formation from the pure elements (meV/atom): -2433
Symmetry: No. 14

***

This record from Materials Project describes a relaxed structure of Ba3Fe2TeO5. The functional is PBE with a Hubbard U. Values from VASP.

Cell and atoms, written as Quantum ESPRESSO input:
```
&SYSTEM
  ibrav = 0, nat = 11, ntyp = 4
/
ATOMIC_SPECIES
Ba 137.33 Ba.upf
Fe 55.84 Fe.upf
Te 127.60 Te.upf
O 16.00 O.upf
CELL_PARAMETERS angstrom
4.113 0.000 0.000
0.000 4.113 0.000
0.000 0.000 12.120
ATOMIC_POSITIONS crystal
Ba 0.000 0.000 0.000
Ba 0.000 0.000 0.330
Ba 0.000 0.000 0.670
Fe 0.500 0.500 0.159
Fe 0.500 0.500 0.841
Te 0.500 0.500 0.500
O 0.000 0.500 0.181
O 0.000 0.500 0.819
O 0.500 0.000 0.181
O 0.500 0.000 0.819
O 0.500 0.500 0.000
```

Results
Energy (eV per atom): -6.046
ρ (g/cm³): 5.9
Energy of formation from the pure elements (meV/atom): -2170
Symmetry: No. 123

***

This record from Materials Project describes a relaxed structure of Ca8Ti3Mn5O22. The functional is PBE with a Hubbard U. Values from VASP.

Cell and atoms, written as Quantum ESPRESSO input:
```
&SYSTEM
  ibrav = 0, nat = 38, ntyp = 4
/
ATOMIC_SPECIES
Ca 40.08 Ca.upf
Ti 47.87 Ti.upf
Mn 54.94 Mn.upf
O 16.00 O.upf
CELL_PARAMETERS angstrom
7.679 0.000 0.000
0.000 7.740 0.000
0.000 0.000 7.951
ATOMIC_POSITIONS crystal
Ca 0.231 0.234 0.000
Ca 0.231 0.766 0.000
Ca 0.244 0.264 0.512
Ca 0.244 0.736 0.512
Ca 0.756 0.264 0.512
Ca 0.756 0.736 0.512
Ca 0.769 0.234 0.000
Ca 0.769 0.766 0.000
Ti 0.500 0.000 0.288
Ti 0.500 0.000 0.762
Ti 0.500 0.500 0.276
Mn 0.000 0.000 0.243
Mn 0.000 0.000 0.748
Mn 0.000 0.500 0.278
Mn 0.000 0.500 0.766
Mn 0.500 0.500 0.809
O 0.000 0.000 0.493
O 0.000 0.000 0.993
O 0.000 0.253 0.768
O 0.000 0.259 0.224
O 0.000 0.500 0.526
O 0.000 0.741 0.224
O 0.000 0.747 0.768
O 0.241 0.500 0.828
O 0.247 0.500 0.298
O 0.248 0.000 0.748
O 0.288 0.000 0.184
O 0.500 0.000 0.527
O 0.500 0.211 0.869
O 0.500 0.252 0.323
O 0.500 0.500 0.053
O 0.500 0.500 0.571
O 0.500 0.748 0.323
O 0.500 0.789 0.869
O 0.712 0.000 0.184
O 0.752 0.000 0.748
O 0.753 0.500 0.298
O 0.759 0.500 0.828
```

Results
Energy (eV per atom): -7.381
ρ (g/cm³): 3.8
Energy of formation from the pure elements (meV/atom): -2883
Symmetry: No. 25

***

This record from Materials Project describes a relaxed structure of Li4Fe3Sn3Sb2O16. The functional is PBE with a Hubbard U. Values from VASP.

Cell and atoms, written as Quantum ESPRESSO input:
```
&SYSTEM
  ibrav = 0, nat = 56, ntyp = 5
/
ATOMIC_SPECIES
Li 6.94 Li.upf
Fe 55.84 Fe.upf
Sn 118.71 Sn.upf
Sb 121.76 Sb.upf
O 16.00 O.upf
CELL_PARAMETERS angstrom
6.211 0.000 0.000
0.149 9.942 0.000
0.069 0.096 10.760
ATOMIC_POSITIONS crystal
Li 0.000 0.000 0.000
Li 0.003 0.085 0.668
Li 0.011 0.569 0.670
Li 0.495 0.489 0.832
Li 0.500 0.000 0.500
Li 0.503 0.085 0.168
Li 0.511 0.569 0.170
Li 0.995 0.489 0.332
Fe 0.243 0.301 0.576
Fe 0.248 0.802 0.748
Fe 0.485 0.300 0.334
Fe 0.743 0.299 0.075
Fe 0.748 0.802 0.248
Fe 0.984 0.300 0.834
Sn 0.232 0.302 0.078
Sn 0.236 0.802 0.248
Sn 0.489 0.802 0.995
Sn 0.732 0.302 0.577
Sn 0.736 0.802 0.748
Sn 0.989 0.802 0.494
Sb 0.475 0.568 0.492
Sb 0.480 0.080 0.828
Sb 0.976 0.568 0.992
Sb 0.980 0.080 0.327
O 0.214 0.934 0.405
O 0.215 0.446 0.926
O 0.230 0.176 0.246
O 0.239 0.683 0.577
O 0.239 0.687 0.081
O 0.240 0.173 0.748
O 0.264 0.445 0.422
O 0.276 0.937 0.909
O 0.483 0.387 0.161
O 0.484 0.177 0.993
O 0.486 0.682 0.331
O 0.489 0.897 0.163
O 0.495 0.196 0.499
O 0.495 0.446 0.645
O 0.496 0.692 0.833
O 0.499 0.937 0.685
O 0.714 0.934 0.904
O 0.715 0.446 0.426
O 0.729 0.177 0.745
O 0.739 0.683 0.077
O 0.739 0.686 0.581
O 0.741 0.173 0.247
O 0.765 0.444 0.922
O 0.776 0.938 0.408
O 0.983 0.176 0.492
O 0.983 0.387 0.661
O 0.986 0.682 0.831
O 0.989 0.897 0.663
O 0.995 0.446 0.145
O 0.996 0.692 0.333
O 0.997 0.195 0.999
O 0.999 0.937 0.185
```

Results
Energy (eV per atom): -6.095
ρ (g/cm³): 5.3
Energy of formation from the pure elements (meV/atom): -1997
Symmetry: No. 1

***

This record from Materials Project describes a relaxed structure of Co2C5SO5. The functional is PBE with a Hubbard U. Values from VASP.

Cell and atoms, written as Quantum ESPRESSO input:
```
&SYSTEM
  ibrav = 0, nat = 52, ntyp = 4
/
ATOMIC_SPECIES
Co 58.93 Co.upf
C 12.01 C.upf
S 32.06 S.upf
O 16.00 O.upf
CELL_PARAMETERS angstrom
9.923 0.000 0.000
0.000 6.706 0.000
-8.470 0.000 12.220
ATOMIC_POSITIONS crystal
Co 0.146 0.072 0.470
Co 0.146 0.428 0.970
Co 0.157 0.543 0.143
Co 0.157 0.957 0.643
Co 0.843 0.043 0.357
Co 0.843 0.457 0.857
Co 0.854 0.572 0.030
Co 0.854 0.928 0.530
C 0.012 0.621 0.181
C 0.012 0.879 0.681
C 0.261 0.204 0.008
C 0.261 0.296 0.508
C 0.270 0.134 0.749
C 0.270 0.366 0.249
C 0.278 0.581 0.955
C 0.278 0.919 0.455
C 0.300 0.742 0.201
C 0.300 0.758 0.701
C 0.700 0.242 0.299
C 0.700 0.258 0.799
C 0.722 0.081 0.545
C 0.722 0.419 0.045
C 0.730 0.634 0.751
C 0.730 0.866 0.251
C 0.739 0.704 0.492
C 0.739 0.796 0.992
C 0.988 0.121 0.319
C 0.988 0.379 0.819
S 0.012 0.694 0.977
S 0.012 0.806 0.477
S 0.988 0.194 0.523
S 0.988 0.306 0.023
O 0.017 0.669 0.259
O 0.017 0.831 0.759
O 0.343 0.063 0.036
O 0.343 0.437 0.536
O 0.349 0.244 0.820
O 0.349 0.256 0.320
O 0.367 0.671 0.944
O 0.367 0.829 0.444
O 0.399 0.635 0.742
O 0.399 0.865 0.242
O 0.601 0.135 0.758
O 0.601 0.365 0.258
O 0.633 0.171 0.556
O 0.633 0.329 0.056
O 0.651 0.744 0.680
O 0.651 0.756 0.180
O 0.657 0.563 0.464
O 0.657 0.937 0.964
O 0.983 0.169 0.241
O 0.983 0.331 0.741
```

Results
Energy (eV per atom): -7.050
ρ (g/cm³): 2.4
Energy of formation from the pure elements (meV/atom): -741
Symmetry: No. 14

***

This record from Materials Project describes a relaxed structure of Li2MnVP3O12. The functional is PBE with a Hubbard U. Values from VASP.

Cell and atoms, written as Quantum ESPRESSO input:
```
&SYSTEM
  ibrav = 0, nat = 38, ntyp = 5
/
ATOMIC_SPECIES
Li 6.94 Li.upf
Mn 54.94 Mn.upf
V 50.94 V.upf
P 30.97 P.upf
O 16.00 O.upf
CELL_PARAMETERS angstrom
8.287 0.000 0.000
-4.040 7.360 0.000
-3.837 -2.131 7.580
ATOMIC_POSITIONS crystal
Li 0.000 0.000 0.000
Li 0.088 0.567 0.177
Li 0.230 0.440 0.526
Li 0.446 0.033 0.284
Mn 0.363 0.874 0.584
Mn 0.781 0.573 0.712
V 0.377 0.378 0.090
V 0.754 0.064 0.187
P 0.267 0.177 0.394
P 0.279 0.981 0.898
P 0.560 0.744 0.388
P 0.568 0.689 0.889
P 0.838 0.451 0.386
P 0.859 0.264 0.893
O 0.052 0.555 0.390
O 0.055 0.247 0.952
O 0.062 0.178 0.345
O 0.065 0.862 0.889
O 0.234 0.983 0.414
O 0.266 0.934 0.723
O 0.305 0.187 0.232
O 0.354 0.196 0.945
O 0.378 0.547 0.248
O 0.419 0.559 0.954
O 0.423 0.696 0.705
O 0.430 0.825 0.401
O 0.441 0.346 0.554
O 0.443 0.955 0.054
O 0.672 0.119 0.723
O 0.680 0.495 0.245
O 0.693 0.608 0.874
O 0.698 0.878 0.314
O 0.699 0.729 0.563
O 0.738 0.892 0.017
O 0.744 0.233 0.338
O 0.810 0.238 0.053
O 0.872 0.505 0.570
O 0.929 0.473 0.897
```

Results
Energy (eV per atom): -7.118
ρ (g/cm³): 2.9
Energy of formation from the pure elements (meV/atom): -2588
Symmetry: No. 1

***

This record from Materials Project describes a relaxed structure of MgTa4Mn4Nb4O24. The functional is PBE with a Hubbard U. Values from VASP.

Cell and atoms, written as Quantum ESPRESSO input:
```
&SYSTEM
  ibrav = 0, nat = 37, ntyp = 5
/
ATOMIC_SPECIES
Mg 24.30 Mg.upf
Ta 180.95 Ta.upf
Mn 54.94 Mn.upf
Nb 92.91 Nb.upf
O 16.00 O.upf
CELL_PARAMETERS angstrom
5.158 0.000 0.000
-0.020 5.995 0.000
-0.464 -0.444 14.846
ATOMIC_POSITIONS crystal
Mg 0.000 0.000 0.000
Ta 0.071 0.472 0.987
Ta 0.494 0.206 0.495
Ta 0.556 0.239 0.821
Ta 0.980 0.349 0.327
Mn 0.022 0.368 0.656
Mn 0.495 0.196 0.158
Mn 0.525 0.710 0.656
Mn 0.952 0.836 0.178
Nb 0.056 0.891 0.804
Nb 0.468 0.705 0.323
Nb 0.519 0.720 0.990
Nb 0.991 0.856 0.498
O 0.151 0.659 0.404
O 0.164 0.162 0.415
O 0.183 0.671 0.730
O 0.185 0.745 0.065
O 0.190 0.252 0.064
O 0.223 0.153 0.750
O 0.291 0.425 0.262
O 0.322 0.937 0.557
O 0.334 0.905 0.244
O 0.354 0.954 0.900
O 0.362 0.447 0.896
O 0.363 0.414 0.575
O 0.655 0.898 0.416
O 0.664 0.390 0.407
O 0.687 0.430 0.738
O 0.690 0.961 0.076
O 0.713 0.958 0.754
O 0.719 0.500 0.051
O 0.787 0.611 0.265
O 0.822 0.134 0.558
O 0.836 0.143 0.246
O 0.860 0.657 0.576
O 0.868 0.215 0.903
O 0.889 0.734 0.910
```

Results
Energy (eV per atom): -8.898
ρ (g/cm³): 6.2
Energy of formation from the pure elements (meV/atom): -2907
Symmetry: No. 1

***

This record from Materials Project describes a relaxed structure of SrLiCrF6. The functional is PBE with a Hubbard U. Values from VASP.

Cell and atoms, written as Quantum ESPRESSO input:
```
&SYSTEM
  ibrav = 0, nat = 18, ntyp = 4
/
ATOMIC_SPECIES
Sr 87.62 Sr.upf
Li 6.94 Li.upf
Cr 52.00 Cr.upf
F 19.00 F.upf
CELL_PARAMETERS angstrom
5.287 0.000 0.000
-2.644 4.579 0.000
0.000 0.000 10.515
ATOMIC_POSITIONS crystal
Sr 0.000 0.000 0.000
Sr 0.000 0.000 0.500
Li 0.333 0.667 0.250
Li 0.667 0.333 0.750
Cr 0.333 0.667 0.750
Cr 0.667 0.333 0.250
F 0.018 0.374 0.855
F 0.018 0.644 0.645
F 0.356 0.374 0.645
F 0.356 0.982 0.855
F 0.374 0.018 0.355
F 0.374 0.356 0.145
F 0.626 0.644 0.855
F 0.626 0.982 0.645
F 0.644 0.018 0.145
F 0.644 0.626 0.355
F 0.982 0.356 0.355
F 0.982 0.626 0.145
```

Results
Energy (eV per atom): -5.729
ρ (g/cm³): 3.4
Energy of formation from the pure elements (meV/atom): -3510
Symmetry: No. 163

***

This record from Materials Project describes a relaxed structure of MgFe2Ni4O8. The functional is PBE with a Hubbard U. Values from VASP.

Cell and atoms, written as Quantum ESPRESSO input:
```
&SYSTEM
  ibrav = 0, nat = 15, ntyp = 4
/
ATOMIC_SPECIES
Mg 24.30 Mg.upf
Fe 55.84 Fe.upf
Ni 58.69 Ni.upf
O 16.00 O.upf
CELL_PARAMETERS angstrom
2.935 1.694 5.217
-2.935 1.694 5.217
0.000 -3.389 5.217
ATOMIC_POSITIONS crystal
Mg 0.000 0.000 0.000
Fe 0.154 0.154 0.154
Fe 0.846 0.846 0.846
Ni 0.000 0.500 0.500
Ni 0.500 0.000 0.500
Ni 0.500 0.500 0.000
Ni 0.500 0.500 0.500
O 0.240 0.753 0.753
O 0.247 0.247 0.760
O 0.247 0.760 0.247
O 0.271 0.271 0.271
O 0.729 0.729 0.729
O 0.753 0.240 0.753
O 0.753 0.753 0.240
O 0.760 0.247 0.247
```

Results
Energy (eV per atom): -5.479
ρ (g/cm³): 5.3
Energy of formation from the pure elements (meV/atom): -1408
Symmetry: No. 166